(1)
Here is a relaxed Sr2CaSbO6 crystal from Materials Project. Energies are from PBE.

Computed properties:
total energy after the MP2020 corrections = -0.48960 Ry/atom

Unit cell a=5.892 b=5.995 c=10.229 alpha=90.00 beta=125.08 gamma=90.00
Fractional coordinates of all 20 atoms:
Sr  0.239  0.042  0.250
Sr  0.239  0.458  0.750
Sr  0.761  0.542  0.250
Sr  0.761  0.958  0.750
Ca  0.500  0.000  0.000
Ca  0.500  0.500  0.500
Sb  0.000  0.000  0.500
Sb  0.000  0.500  0.000
O  0.138  0.229  0.950
O  0.138  0.271  0.450
O  0.230  0.693  0.958
O  0.230  0.807  0.458
O  0.317  0.031  0.731
O  0.317  0.469  0.231
O  0.683  0.531  0.769
O  0.683  0.969  0.269
O  0.770  0.193  0.542
O  0.770  0.307  0.042
O  0.862  0.729  0.550
O  0.862  0.771  0.050

(2)
Here is a relaxed ZrCrCuS4 crystal from Materials Project. Energies are from PBE.

Computed properties:
total energy after the MP2020 corrections = -0.50020 Ry/atom

Unit cell a=7.198 b=7.198 c=7.198 alpha=119.56 beta=119.50 gamma=90.82
Fractional coordinates of all 14 atoms:
Zr  0.235  0.250  0.485
Zr  0.265  0.750  0.015
Cr  0.250  0.251  0.001
Cr  0.750  0.249  0.499
Cu  0.620  0.870  0.750
Cu  0.880  0.630  0.250
S  0.008  0.002  0.992
S  0.492  0.485  0.994
S  0.502  0.026  0.021
S  0.505  0.480  0.479
S  0.509  0.015  0.508
S  0.991  0.498  0.506
S  0.995  0.474  0.976
S  0.998  0.020  0.524

(3)
Here is a relaxed Tb2Ga8Co crystal from Materials Project. Energies are from PBE.

Unit cell a=4.254 b=4.254 c=11.068 alpha=90.00 beta=90.00 gamma=90.00
Fractional coordinates of all 11 atoms:
Tb  0.000  0.000  0.195
Tb  0.000  0.000  0.805
Ga  0.000  0.500  0.000
Ga  0.000  0.500  0.385
Ga  0.000  0.500  0.615
Ga  0.500  0.000  0.000
Ga  0.500  0.000  0.385
Ga  0.500  0.000  0.615
Ga  0.500  0.500  0.201
Ga  0.500  0.500  0.799
Co  0.000  0.000  0.500

(4)
Here is a relaxed PrBS3 crystal from Materials Project. Energies are from PBE.

Computed properties:
total energy after the MP2020 corrections = -0.46512 Ry/atom

Unit cell a=7.676 b=6.033 c=8.996 alpha=90.00 beta=90.00 gamma=90.00
Fractional coordinates of all 20 atoms:
Pr  0.114  0.071  0.000
Pr  0.386  0.571  0.500
Pr  0.614  0.429  0.000
Pr  0.886  0.929  0.500
B  0.146  0.596  0.829
B  0.354  0.096  0.329
B  0.646  0.904  0.829
B  0.854  0.404  0.329
S  0.002  0.596  0.987
S  0.173  0.835  0.707
S  0.204  0.866  0.298
S  0.296  0.366  0.798
S  0.327  0.335  0.207
S  0.498  0.096  0.487
S  0.502  0.904  0.987
S  0.673  0.665  0.707
S  0.704  0.634  0.298
S  0.796  0.134  0.798
S  0.827  0.165  0.207
S  0.998  0.404  0.487

(5)
Here is a relaxed DyGaNi crystal from Materials Project. Energies are from PBE.

Unit cell a=9.731 b=4.191 c=6.844 alpha=90.00 beta=128.95 gamma=90.00
Fractional coordinates of all 12 atoms:
Dy  0.057  0.000  0.311
Dy  0.443  0.500  0.689
Dy  0.557  0.500  0.311
Dy  0.943  0.000  0.689
Ga  0.176  0.500  0.100
Ga  0.324  0.000  0.900
Ga  0.676  0.000  0.100
Ga  0.824  0.500  0.900
Ni  0.156  0.500  0.702
Ni  0.344  0.000  0.298
Ni  0.656  0.000  0.702
Ni  0.844  0.500  0.298

(6)
Here is a relaxed LiScH2Se2O7 crystal from Materials Project. Energies are from PBE.

Computed properties:
total energy after the MP2020 corrections = -0.46492 Ry/atom

Unit cell a=17.571 b=5.608 c=16.044 alpha=90.00 beta=116.52 gamma=90.00
Fractional coordinates of all 104 atoms:
Li  0.188  0.185  0.050
Li  0.188  0.815  0.550
Li  0.217  0.307  0.674
Li  0.217  0.693  0.174
Li  0.783  0.307  0.826
Li  0.783  0.693  0.326
Li  0.812  0.185  0.450
Li  0.812  0.815  0.950
Sc  0.000  0.500  0.000
Sc  0.000  0.500  0.500
Sc  0.244  0.001  0.372
Sc  0.244  0.999  0.872
Sc  0.500  0.434  0.750
Sc  0.500  0.566  0.250
Sc  0.756  0.001  0.128
Sc  0.756  0.999  0.628
H  0.246  0.420  0.542
H  0.246  0.580  0.042
H  0.290  0.087  0.213
H  0.290  0.913  0.713
H  0.314  0.430  0.124
H  0.314  0.570  0.624
H  0.324  0.072  0.656
H  0.324  0.928  0.156
H  0.676  0.072  0.844
H  0.676  0.928  0.344
H  0.686  0.430  0.376
H  0.686  0.570  0.876
H  0.710  0.087  0.287
H  0.710  0.913  0.787
H  0.754  0.420  0.958
H  0.754  0.580  0.458
Se  0.058  0.002  0.634
Se  0.058  0.998  0.134
Se  0.126  0.494  0.865
Se  0.126  0.506  0.365
Se  0.359  0.500  0.368
Se  0.359  0.500  0.868
Se  0.440  0.066  0.099
Se  0.440  0.934  0.599
Se  0.560  0.066  0.401
Se  0.560  0.934  0.901
Se  0.641  0.500  0.132
Se  0.641  0.500  0.632
Se  0.874  0.494  0.635
Se  0.874  0.506  0.135
Se  0.942  0.002  0.866
Se  0.942  0.998  0.366
O  0.058  0.455  0.413
O  0.058  0.545  0.913
O  0.080  0.201  0.064
O  0.080  0.799  0.564
O  0.092  0.264  0.603
O  0.092  0.736  0.103
O  0.140  0.049  0.241
O  0.140  0.951  0.741
O  0.169  0.224  0.917
O  0.169  0.776  0.417
O  0.207  0.305  0.427
O  0.207  0.695  0.927
O  0.255  0.489  0.099
O  0.255  0.511  0.599
O  0.271  0.010  0.656
O  0.271  0.312  0.813
O  0.271  0.688  0.313
O  0.271  0.990  0.156
O  0.315  0.225  0.323
O  0.315  0.775  0.823
O  0.348  0.061  0.996
O  0.348  0.939  0.496
O  0.415  0.438  0.808
O  0.415  0.562  0.308
O  0.420  0.164  0.658
O  0.420  0.836  0.158
O  0.421  0.311  0.152
O  0.421  0.689  0.652
O  0.579  0.311  0.348
O  0.579  0.689  0.848
O  0.580  0.164  0.842
O  0.580  0.836  0.342
O  0.585  0.438  0.692
O  0.585  0.562  0.192
O  0.652  0.061  0.504
O  0.652  0.939  0.004
O  0.685  0.225  0.177
O  0.685  0.775  0.677
O  0.729  0.010  0.844
O  0.729  0.312  0.687
O  0.729  0.688  0.187
O  0.729  0.990  0.344
O  0.745  0.489  0.401
O  0.745  0.511  0.901
O  0.793  0.305  0.073
O  0.793  0.695  0.573
O  0.831  0.224  0.583
O  0.831  0.776  0.083
O  0.860  0.049  0.259
O  0.860  0.951  0.759
O  0.908  0.264  0.897
O  0.908  0.736  0.397
O  0.920  0.201  0.436
O  0.920  0.799  0.936
O  0.942  0.455  0.087
O  0.942  0.545  0.587

| no. | formation enthalpy at 0 K (eV/atom) | E_tot (eV per atom) |
| --- | --- | --- |
| 1 | -2.74 | -6.2492 |
| 2 | -1.26 | -6.5182 |
| 3 | -0.49 | -4.1810 |
| 4 | -1.55 | -6.0264 |
| 5 | -0.60 | -5.0750 |
| 6 | -1.97 | -5.9556 |